Entry from the Materials Project: a relaxed structure of PrB12 (PBE-GGA).

a = 5.3707 Å, b = 5.3707 Å, c = 5.3707 Å
α = 60.00°, β = 60.00°, γ = 60.00°
Fractional positions:
B (0.1634, 0.5000, 0.8366)
B (0.8366, 0.1634, 0.5000)
B (0.8366, 0.5000, 0.1634)
B (0.5000, 0.5000, 0.1634)
B (0.5000, 0.8366, 0.5000)
B (0.8366, 0.5000, 0.5000)
Pr (0.0000, 0.0000, 0.0000)
B (0.5000, 0.1634, 0.5000)
B (0.1634, 0.8366, 0.5000)
B (0.5000, 0.1634, 0.8366)
B (0.5000, 0.8366, 0.1634)
B (0.5000, 0.5000, 0.8366)
B (0.1634, 0.5000, 0.5000)

Values from the calculation:
Raw total energy ... -6.724 eV/atom
Space group ... Fm-3m
Formation energy ... -0.191 eV/atom